20
Lattice="5.461 0.000 0.000 0.000 5.825 0.000 -5.429 0.000 7.824" Properties=species:S:1:pos:R:3 comment="Sm2ZnPtO6, optimized geometry, DFT GGA-PBE" e_form_ev_per_atom=-2.606 pbc="T T T"
Sm -0.113 0.423 1.964
Sm -2.828 2.490 5.876
Sm 2.859 3.335 1.949
Sm 0.144 5.403 5.861
Zn 2.730 0.000 0.000
Zn 0.016 2.913 3.912
Pt -2.715 0.000 3.912
Pt 0.000 2.913 0.000
O -4.418 1.177 7.351
O -1.703 1.735 3.439
O -3.760 4.037 7.387
O -1.045 4.701 3.475
O -2.077 0.239 5.845
O 0.638 2.674 1.933
O -0.606 3.152 5.891
O 2.109 5.586 1.979
O 1.076 1.124 4.349
O 3.791 1.789 0.437
O 1.734 4.090 4.385
O 4.449 4.648 0.473

5
Lattice="4.062 0.000 0.000 0.000 4.062 0.000 0.000 0.000 4.062" Properties=species:S:1:pos:R:3 comment="SrPtO3, optimized geometry, DFT GGA-PBE" e_form_ev_per_atom=-1.701 pbc="T T T"
Sr 0.000 0.000 0.000
Pt 2.031 2.031 2.031
O 0.000 2.031 2.031
O 2.031 0.000 2.031
O 2.031 2.031 0.000

16
Lattice="5.942 0.000 0.000 0.000 5.942 0.000 0.000 0.000 5.942" Properties=species:S:1:pos:R:3 comment="SrPt3O4, optimized geometry, DFT GGA-PBE" e_form_ev_per_atom=-1.378 pbc="T T T"
Sr 0.000 0.000 0.000
Sr 2.971 2.971 2.971
Pt 0.000 1.486 2.971
Pt 0.000 4.457 2.971
Pt 1.486 2.971 0.000
Pt 2.971 0.000 1.486
Pt 2.971 0.000 4.457
Pt 4.457 2.971 0.000
O 1.486 1.486 1.486
O 1.486 1.486 4.457
O 1.486 4.457 1.486
O 1.486 4.457 4.457
O 4.457 1.486 1.486
O 4.457 1.486 4.457
O 4.457 4.457 1.486
O 4.457 4.457 4.457

22
Lattice="4.850 2.800 3.808 -4.850 2.800 3.808 0.000 -5.600 3.808" Properties=species:S:1:pos:R:3 comment="Sr3ZnPtO6, optimized geometry, DFT GGA-PBE" e_form_ev_per_atom=-2.388 pbc="T T T"
Sr -3.087 0.253 4.760
Sr -1.762 -2.547 6.664
Sr 1.325 -2.800 4.760
Sr -1.325 2.800 6.664
Sr 1.762 2.547 4.760
Sr 3.087 -0.253 6.664
Zn 0.000 0.000 2.856
Zn 0.000 0.000 8.568
Pt 0.000 0.000 0.000
Pt 0.000 0.000 5.712
O -4.205 -1.344 6.320
O -0.939 -4.314 5.104
O -0.939 -1.286 4.416
O -3.266 2.970 5.104
O -0.644 1.456 4.416
O -1.583 0.170 7.008
O 1.583 -0.170 4.416
O 0.644 -1.456 7.008
O 3.266 -2.970 6.320
O 0.939 1.286 7.008
O 0.939 4.314 6.320
O 4.205 1.344 5.104

22
Lattice="0.000 5.168 5.168 5.168 0.000 5.168 5.168 5.168 0.000" Properties=species:S:1:pos:R:3 comment="Tl2Pt2O7, optimized geometry, DFT GGA-PBE" e_form_ev_per_atom=-1.151 pbc="T T T"
Tl 0.000 0.000 0.000
Tl 2.584 2.584 0.000
Tl 2.584 0.000 2.584
Tl 0.000 2.584 2.584
Pt 5.168 2.584 2.584
Pt 2.584 5.168 2.584
Pt 2.584 2.584 5.168
Pt 5.168 5.168 5.168
O 1.292 1.292 1.292
O 3.876 3.876 1.711
O 3.876 1.711 3.876
O 6.041 3.876 3.876
O 6.460 6.460 4.295
O 6.460 4.295 6.460
O 8.625 6.460 6.460
O 1.711 3.876 3.876
O 3.876 6.041 3.876
O 3.876 3.876 6.041
O 4.295 6.460 6.460
O 6.460 8.625 6.460
O 6.460 6.460 8.625
O 9.044 9.044 9.044

16
Lattice="0.000 4.909 4.909 4.909 0.000 4.909 4.909 4.909 0.000" Properties=species:S:1:pos:R:3 comment="TlPt3O4, optimized geometry, DFT GGA-PBE" e_form_ev_per_atom=-0.883 pbc="T T T"
Tl 0.000 0.000 0.000
Tl 4.909 4.909 4.909
Pt 2.455 2.455 0.000
Pt 2.455 0.000 2.455
Pt 4.909 2.455 2.455
Pt 0.000 2.455 2.455
Pt 2.455 4.909 2.455
Pt 2.455 2.455 4.909
O 1.399 1.399 1.399
O 3.511 3.511 1.399
O 3.511 1.399 3.511
O 8.420 6.308 6.308
O 1.399 3.511 3.511
O 6.308 8.420 6.308
O 6.308 6.308 8.420
O 8.420 8.420 8.420

no.,total energy after the MP2020 corrections (eV/atom)
1,-7.2511
2,-6.2218
3,-6.3394
4,-6.2139
5,-5.8329
6,-5.9289